1.
A geometry-optimized Sm2BeGa2O7 structure. Source: the Materials Project, functional GGA-PBE.

VASP energy: -7.151 eV per atom
magnetization: 0.00 μB/f.u.

a = 5.203 Å, b = 7.677 Å, c = 7.677 Å
α = 90.00°, β = 90.00°, γ = 90.00°
Fractional positions:
O (0.199, 0.000, 0.500)
O (0.195, 0.094, 0.143)
O (0.677, 0.865, 0.635)
O (0.323, 0.635, 0.135)
O (0.801, 0.500, 0.000)
O (0.195, 0.906, 0.857)
O (0.805, 0.594, 0.357)
O (0.805, 0.406, 0.643)
O (0.805, 0.857, 0.094)
O (0.195, 0.643, 0.594)
O (0.805, 0.143, 0.906)
O (0.195, 0.357, 0.406)
O (0.323, 0.365, 0.865)
O (0.677, 0.135, 0.365)
Sm (0.519, 0.166, 0.666)
Sm (0.481, 0.666, 0.834)
Sm (0.519, 0.834, 0.334)
Sm (0.481, 0.334, 0.166)
Ga (0.028, 0.151, 0.349)
Ga (0.972, 0.651, 0.151)
Ga (0.972, 0.349, 0.849)
Ga (0.028, 0.849, 0.651)
Be (0.000, 0.000, 0.000)
Be (0.000, 0.500, 0.500)

***

2.
A geometry-optimized U2Be25Ga structure. Source: the Materials Project, functional GGA-PBE.

VASP energy: -4.257 eV per atom
magnetization: 0.19 μB/f.u.

a = 7.264 Å, b = 7.264 Å, c = 7.264 Å
α = 60.00°, β = 60.00°, γ = 60.00°
Fractional positions:
Be (0.306, 0.694, 0.058)
Be (0.213, 0.562, 0.438)
Be (0.058, 0.306, 0.694)
Be (0.694, 0.942, 0.058)
Be (0.213, 0.787, 0.562)
Be (0.500, 0.500, 0.500)
Be (0.306, 0.058, 0.942)
Be (0.694, 0.306, 0.942)
Be (0.213, 0.438, 0.787)
Be (0.694, 0.058, 0.306)
Be (0.787, 0.562, 0.213)
Be (0.562, 0.787, 0.438)
Be (0.058, 0.694, 0.942)
Be (0.942, 0.306, 0.058)
Be (0.942, 0.694, 0.306)
Be (0.942, 0.058, 0.694)
Be (0.562, 0.213, 0.787)
Be (0.438, 0.562, 0.787)
Be (0.787, 0.438, 0.562)
Be (0.438, 0.213, 0.562)
Be (0.562, 0.438, 0.213)
Be (0.787, 0.213, 0.438)
Be (0.438, 0.787, 0.213)
Be (0.306, 0.942, 0.694)
Be (0.058, 0.942, 0.306)
U (0.750, 0.750, 0.750)
U (0.250, 0.250, 0.250)
Ga (0.000, 0.000, 0.000)

***

3.
A geometry-optimized GdBe13 structure. Source: the Materials Project, functional GGA-PBE.

VASP energy: -4.656 eV per atom

a = 7.215 Å, b = 7.215 Å, c = 7.215 Å
α = 60.00°, β = 60.00°, γ = 60.00°
Fractional positions:
Be (0.563, 0.209, 0.791)
Be (0.000, 0.000, 0.000)
Be (0.791, 0.209, 0.437)
Be (0.437, 0.563, 0.791)
Be (0.563, 0.437, 0.209)
Be (0.291, 0.063, 0.937)
Be (0.063, 0.291, 0.709)
Be (0.437, 0.209, 0.563)
Be (0.563, 0.791, 0.437)
Be (0.209, 0.437, 0.791)
Be (0.709, 0.063, 0.291)
Be (0.937, 0.063, 0.709)
Be (0.709, 0.937, 0.063)
Be (0.291, 0.709, 0.063)
Be (0.937, 0.291, 0.063)
Be (0.291, 0.937, 0.709)
Be (0.791, 0.437, 0.563)
Be (0.500, 0.500, 0.500)
Be (0.937, 0.709, 0.291)
Be (0.791, 0.563, 0.209)
Be (0.209, 0.563, 0.437)
Be (0.209, 0.791, 0.563)
Be (0.709, 0.291, 0.937)
Be (0.063, 0.709, 0.937)
Be (0.063, 0.937, 0.291)
Be (0.437, 0.791, 0.209)
Gd (0.250, 0.250, 0.250)
Gd (0.750, 0.750, 0.750)

***

| no. | ρ (g/cm3) | energy of formation (kcal/mol of atoms) |
| --- | --- | --- |
| 1 | 6.08 | -70.64 |
| 2 | 4.72 | -0.08 |
| 3 | 3.43 | -4.11 |